1.
Density functional theory data (PBE-GGA) for a geometry-optimized Na5P3H2O11 structure.

Results
* formation energy: -4626 kJ/mol of formula units
* space group: No. 2

abc: 7.0256 7.0821 10.9379
angles: 82.94 81.63 76.65
Sites, in units of the cell vectors:
Na (0.0718, 0.0024, 0.7572)
Na (0.9282, 0.9976, 0.2428)
Na (0.9586, 0.5788, 0.7451)
Na (0.0414, 0.4212, 0.2549)
Na (0.4508, 0.5655, 0.7506)
Na (0.5492, 0.4345, 0.2494)
Na (0.6804, 0.7828, 0.5010)
Na (0.3196, 0.2172, 0.4990)
Na (0.7022, 0.8054, 0.0007)
Na (0.2978, 0.1946, 0.9993)
P (0.4276, 0.9440, 0.2833)
P (0.5724, 0.0560, 0.7167)
P (0.2038, 0.6901, 0.4652)
P (0.7962, 0.3099, 0.5348)
P (0.1948, 0.6807, 0.0253)
P (0.8052, 0.3193, 0.9747)
H (0.0000, 0.0000, 0.5000)
H (0.5000, 0.5000, 0.0000)
H (0.9483, 0.9944, 0.0105)
H (0.0517, 0.0056, 0.9895)
O (0.3729, 0.8162, 0.4183)
O (0.6271, 0.1838, 0.5817)
O (0.4225, 0.9563, 0.6771)
O (0.5775, 0.0437, 0.3229)
O (0.7603, 0.9166, 0.7520)
O (0.2397, 0.0834, 0.2480)
O (0.2301, 0.5300, 0.3796)
O (0.7699, 0.4700, 0.6204)
O (0.0051, 0.8474, 0.4546)
O (0.9949, 0.1526, 0.5454)
O (0.2307, 0.6171, 0.5993)
O (0.7693, 0.3829, 0.4007)
O (0.5201, 0.7904, 0.1923)
O (0.4799, 0.2096, 0.8077)
O (0.0149, 0.7056, 0.1235)
O (0.9851, 0.2944, 0.8765)
O (0.1424, 0.6822, 0.8921)
O (0.8576, 0.3178, 0.1079)
O (0.6560, 0.5152, 0.9386)
O (0.3440, 0.4848, 0.0614)
O (0.3194, 0.8428, 0.0086)
O (0.6806, 0.1572, 0.9914)



2.
Density functional theory data (PBE-GGA) for a geometry-optimized Na2PH5O6 structure.

Results
* formation energy: -2560 kJ/mol of formula units
* space group: No. 61

abc: 6.5853 10.3883 17.0874
angles: 90.00 90.00 90.00
Sites, in units of the cell vectors:
Na (0.3272, 0.7677, 0.2707)
Na (0.6728, 0.7323, 0.7707)
Na (0.1728, 0.2677, 0.7293)
Na (0.8272, 0.2323, 0.2293)
Na (0.6728, 0.2323, 0.7293)
Na (0.3272, 0.2677, 0.2293)
Na (0.8272, 0.7323, 0.2707)
Na (0.1728, 0.7677, 0.7707)
Na (0.1424, 0.8475, 0.4994)
Na (0.8576, 0.6525, 0.9994)
Na (0.3576, 0.3475, 0.5006)
Na (0.6424, 0.1525, 0.0006)
Na (0.8576, 0.1525, 0.5006)
Na (0.1424, 0.3475, 0.0006)
Na (0.6424, 0.6525, 0.4994)
Na (0.3576, 0.8475, 0.9994)
P (0.1210, 0.5180, 0.1616)
P (0.8790, 0.9820, 0.6616)
P (0.3790, 0.0180, 0.8384)
P (0.6210, 0.4820, 0.3384)
P (0.8790, 0.4820, 0.8384)
P (0.1210, 0.0180, 0.3384)
P (0.6210, 0.9820, 0.1616)
P (0.3790, 0.5180, 0.6616)
H (0.9766, 0.8927, 0.0869)
H (0.0234, 0.6073, 0.5869)
H (0.5234, 0.3927, 0.9131)
H (0.4766, 0.1073, 0.4131)
H (0.0234, 0.1073, 0.9131)
H (0.9766, 0.3927, 0.4131)
H (0.4766, 0.6073, 0.0869)
H (0.5234, 0.8927, 0.5869)
H (0.0723, 0.7611, 0.1138)
H (0.9277, 0.7389, 0.6138)
H (0.4277, 0.2611, 0.8862)
H (0.5723, 0.2389, 0.3862)
H (0.9277, 0.2389, 0.8862)
H (0.0723, 0.2611, 0.3862)
H (0.5723, 0.7389, 0.1138)
H (0.4277, 0.7611, 0.6138)
H (0.2928, 0.6137, 0.4015)
H (0.7072, 0.8863, 0.9015)
H (0.2072, 0.1137, 0.5985)
H (0.7928, 0.3863, 0.0985)
H (0.7072, 0.3863, 0.5985)
H (0.2928, 0.1137, 0.0985)
H (0.7928, 0.8863, 0.4015)
H (0.2072, 0.6137, 0.9015)
H (0.0577, 0.6272, 0.3881)
H (0.9423, 0.8728, 0.8881)
H (0.4423, 0.1272, 0.6119)
H (0.5577, 0.3728, 0.1119)
H (0.9423, 0.3728, 0.6119)
H (0.0577, 0.1272, 0.1119)
H (0.5577, 0.8728, 0.3881)
H (0.4423, 0.6272, 0.8881)
H (0.9763, 0.4648, 0.2784)
H (0.0237, 0.0352, 0.7784)
H (0.5237, 0.9648, 0.7216)
H (0.4763, 0.5352, 0.2216)
H (0.0237, 0.5352, 0.7216)
H (0.9763, 0.9648, 0.2216)
H (0.4763, 0.0352, 0.2784)
H (0.5237, 0.4648, 0.7784)
O (0.3484, 0.4815, 0.1491)
O (0.6516, 0.0185, 0.6491)
O (0.1516, 0.9815, 0.8509)
O (0.8484, 0.5185, 0.3509)
O (0.6516, 0.5185, 0.8509)
O (0.3484, 0.9815, 0.3509)
O (0.8484, 0.0185, 0.1491)
O (0.1516, 0.4815, 0.6491)
O (0.0961, 0.6570, 0.1906)
O (0.9039, 0.8430, 0.6906)
O (0.4039, 0.1570, 0.8094)
O (0.5961, 0.3430, 0.3094)
O (0.9039, 0.3430, 0.8094)
O (0.0961, 0.1570, 0.3094)
O (0.5961, 0.8430, 0.1906)
O (0.4039, 0.6570, 0.6906)
O (0.9943, 0.4871, 0.0890)
O (0.0057, 0.0129, 0.5890)
O (0.5057, 0.9871, 0.9110)
O (0.4943, 0.5129, 0.4110)
O (0.0057, 0.5129, 0.9110)
O (0.9943, 0.9871, 0.4110)
O (0.4943, 0.0129, 0.0890)
O (0.5057, 0.4871, 0.5890)
O (0.0484, 0.4222, 0.2318)
O (0.9516, 0.0778, 0.7318)
O (0.4516, 0.9222, 0.7682)
O (0.5484, 0.5778, 0.2682)
O (0.9516, 0.5778, 0.7682)
O (0.0484, 0.9222, 0.2682)
O (0.5484, 0.0778, 0.2318)
O (0.4516, 0.4222, 0.7318)
O (0.0466, 0.8157, 0.0664)
O (0.9534, 0.6843, 0.5664)
O (0.4534, 0.3157, 0.9336)
O (0.5466, 0.1843, 0.4336)
O (0.9534, 0.1843, 0.9336)
O (0.0466, 0.3157, 0.4336)
O (0.5466, 0.6843, 0.0664)
O (0.4534, 0.8157, 0.5664)
O (0.1820, 0.6791, 0.3947)
O (0.8180, 0.8209, 0.8947)
O (0.3180, 0.1791, 0.6053)
O (0.6820, 0.3209, 0.1053)
O (0.8180, 0.3209, 0.6053)
O (0.1820, 0.1791, 0.1053)
O (0.6820, 0.8209, 0.3947)
O (0.3180, 0.6791, 0.8947)



3.
Density functional theory data (PBE-GGA) for a geometry-optimized Na2PH5O6 structure.

Results
* formation energy: -2520 kJ/mol of formula units
* space group: No. 61

abc: 7.1962 11.2050 15.4318
angles: 90.00 90.00 90.00
Sites, in units of the cell vectors:
Na (0.6529, 0.2170, 0.1996)
Na (0.8471, 0.7170, 0.8004)
Na (0.1529, 0.7830, 0.3004)
Na (0.3471, 0.2830, 0.6996)
Na (0.3471, 0.7830, 0.8004)
Na (0.1529, 0.2830, 0.1996)
Na (0.8471, 0.2170, 0.6996)
Na (0.6529, 0.7170, 0.3004)
Na (0.7206, 0.0779, 0.4776)
Na (0.7794, 0.5779, 0.5224)
Na (0.2206, 0.9221, 0.0224)
Na (0.2794, 0.4221, 0.9776)
Na (0.2794, 0.9221, 0.5224)
Na (0.2206, 0.4221, 0.4776)
Na (0.7794, 0.0779, 0.9776)
Na (0.7206, 0.5779, 0.0224)
P (0.8605, 0.4679, 0.3283)
P (0.6395, 0.9679, 0.6717)
P (0.3605, 0.5321, 0.1717)
P (0.1395, 0.0321, 0.8283)
P (0.1395, 0.5321, 0.6717)
P (0.3605, 0.0321, 0.3283)
P (0.6395, 0.4679, 0.8283)
P (0.8605, 0.9679, 0.1717)
H (0.0518, 0.1257, 0.3994)
H (0.4482, 0.6257, 0.6006)
H (0.5518, 0.8743, 0.1006)
H (0.9482, 0.3743, 0.8994)
H (0.9482, 0.8743, 0.6006)
H (0.5518, 0.3743, 0.3994)
H (0.4482, 0.1257, 0.8994)
H (0.0518, 0.6257, 0.1006)
H (0.9392, 0.2456, 0.3769)
H (0.5608, 0.7456, 0.6231)
H (0.4392, 0.7544, 0.1231)
H (0.0608, 0.2544, 0.8769)
H (0.0608, 0.7544, 0.6231)
H (0.4392, 0.2544, 0.3769)
H (0.5608, 0.2456, 0.8769)
H (0.9392, 0.7456, 0.1231)
H (0.4984, 0.5359, 0.7099)
H (0.0016, 0.0359, 0.2901)
H (0.9984, 0.4641, 0.7901)
H (0.5016, 0.9641, 0.2099)
H (0.5016, 0.4641, 0.2901)
H (0.9984, 0.9641, 0.7099)
H (0.0016, 0.5359, 0.2099)
H (0.4984, 0.0359, 0.7901)
H (0.5363, 0.6533, 0.9126)
H (0.9637, 0.1533, 0.0874)
H (0.0363, 0.3467, 0.5874)
H (0.4637, 0.8467, 0.4126)
H (0.4637, 0.3467, 0.0874)
H (0.0363, 0.8467, 0.9126)
H (0.9637, 0.6533, 0.4126)
H (0.5363, 0.1533, 0.5874)
H (0.5423, 0.7685, 0.9736)
H (0.9577, 0.2685, 0.0264)
H (0.0423, 0.2315, 0.5264)
H (0.4577, 0.7315, 0.4736)
H (0.4577, 0.2315, 0.0264)
H (0.0423, 0.7315, 0.9736)
H (0.9577, 0.7685, 0.4736)
H (0.5423, 0.2685, 0.5264)
O (0.6561, 0.4946, 0.3559)
O (0.8439, 0.9946, 0.6441)
O (0.1561, 0.5054, 0.1441)
O (0.3439, 0.0054, 0.8559)
O (0.3439, 0.5054, 0.6441)
O (0.1561, 0.0054, 0.3559)
O (0.8439, 0.4946, 0.8559)
O (0.6561, 0.9946, 0.1441)
O (0.8904, 0.3397, 0.2959)
O (0.6096, 0.8397, 0.7041)
O (0.3904, 0.6603, 0.2041)
O (0.1096, 0.1603, 0.7959)
O (0.1096, 0.6603, 0.7041)
O (0.3904, 0.1603, 0.2959)
O (0.6096, 0.3397, 0.7959)
O (0.8904, 0.8397, 0.2041)
O (0.9892, 0.5045, 0.4031)
O (0.5108, 0.0045, 0.5969)
O (0.4892, 0.4955, 0.0969)
O (0.0108, 0.9955, 0.9031)
O (0.0108, 0.4955, 0.5969)
O (0.4892, 0.9955, 0.4031)
O (0.5108, 0.5045, 0.9031)
O (0.9892, 0.0045, 0.0969)
O (0.8932, 0.5599, 0.2497)
O (0.6068, 0.0599, 0.7503)
O (0.3932, 0.4401, 0.2503)
O (0.1068, 0.9401, 0.7497)
O (0.1068, 0.4401, 0.7503)
O (0.3932, 0.9401, 0.2497)
O (0.6068, 0.5599, 0.7497)
O (0.8932, 0.0599, 0.2503)
O (0.9701, 0.1884, 0.4255)
O (0.5299, 0.6884, 0.5745)
O (0.4701, 0.8116, 0.0745)
O (0.0299, 0.3116, 0.9255)
O (0.0299, 0.8116, 0.5745)
O (0.4701, 0.3116, 0.4255)
O (0.5299, 0.1884, 0.9255)
O (0.9701, 0.6884, 0.0745)
O (0.9163, 0.2373, 0.0841)
O (0.5837, 0.7373, 0.9159)
O (0.4163, 0.7627, 0.4159)
O (0.0837, 0.2627, 0.5841)
O (0.0837, 0.7627, 0.9159)
O (0.4163, 0.2627, 0.0841)
O (0.5837, 0.2373, 0.5841)
O (0.9163, 0.7373, 0.4159)



4.
Density functional theory data (PBE-GGA) for a geometry-optimized RbNa2P3H6O12 structure.

Results
* formation energy: -4917 kJ/mol of formula units
* space group: No. 2

abc: 7.6366 8.8060 9.8683
angles: 66.00 84.58 77.76
Sites, in units of the cell vectors:
Rb (0.7543, 0.8525, 0.6198)
Rb (0.2457, 0.1475, 0.3802)
Na (0.4703, 0.2218, 0.7135)
Na (0.5297, 0.7782, 0.2865)
Na (0.8517, 0.5272, 0.1408)
Na (0.1483, 0.4728, 0.8592)
P (0.9266, 0.1383, 0.7574)
P (0.0734, 0.8617, 0.2426)
P (0.2581, 0.6186, 0.1183)
P (0.7419, 0.3814, 0.8817)
P (0.7547, 0.1277, 0.2004)
P (0.2453, 0.8723, 0.7996)
H (0.7148, 0.9020, 0.9703)
H (0.2852, 0.0980, 0.0297)
H (0.5690, 0.7942, 0.9928)
H (0.4310, 0.2058, 0.0072)
H (0.4868, 0.3968, 0.3869)
H (0.5132, 0.6032, 0.6131)
H (0.6564, 0.2592, 0.4042)
H (0.3436, 0.7408, 0.5958)
H (0.8171, 0.4430, 0.4612)
H (0.1829, 0.5570, 0.5388)
H (0.8801, 0.6179, 0.4014)
H (0.1199, 0.3821, 0.5986)
O (0.2384, 0.9384, 0.2110)
O (0.7616, 0.0616, 0.7890)
O (0.0171, 0.7693, 0.4011)
O (0.9829, 0.2307, 0.5989)
O (0.9158, 0.2623, 0.8441)
O (0.0842, 0.7377, 0.1559)
O (0.9089, 0.0041, 0.1484)
O (0.0911, 0.9959, 0.8516)
O (0.6665, 0.2522, 0.0379)
O (0.3335, 0.7478, 0.9621)
O (0.1810, 0.4879, 0.0941)
O (0.8190, 0.5121, 0.9059)
O (0.4030, 0.5689, 0.2289)
O (0.5970, 0.4311, 0.7711)
O (0.8390, 0.2258, 0.2626)
O (0.1610, 0.7742, 0.7374)
O (0.3848, 0.9696, 0.7101)
O (0.6152, 0.0304, 0.2899)
O (0.6654, 0.8056, 0.0448)
O (0.3346, 0.1944, 0.9552)
O (0.4490, 0.7115, 0.5394)
O (0.5510, 0.2885, 0.4606)
O (0.7963, 0.5574, 0.3822)
O (0.2037, 0.4426, 0.6178)